# FeSi2O6, relaxed, DFT PBE+U
data_FeSi2O6
_space_group_name_H-M_alt 'P 1 21/c 1'
_space_group_IT_number 14
_cell_length_a 9.2850
_cell_length_b 8.6457
_cell_length_c 5.3706
_cell_angle_alpha 90.00
_cell_angle_beta 103.81
_cell_angle_gamma 90.00
loop_
_space_group_symop_operation_xyz
'x,y,z'
'-x,-y,-z'
'-x,y+1/2,-z+1/2'
'x,-y+1/2,z+1/2'
loop_
_atom_site_label
_atom_site_type_symbol
_atom_site_fract_x
_atom_site_fract_y
_atom_site_fract_z
Fe1 Fe 0.2499 0.1475 0.0086
Si1 Si 0.0510 0.6650 0.3110
Si2 Si 0.4558 0.6656 0.7048
O1 O 0.1113 0.7468 0.0832
O2 O 0.1120 0.0139 0.8352
O3 O 0.1333 0.1755 0.2685
O4 O 0.3585 0.1820 0.7218
O5 O 0.3954 0.7394 0.9388
O6 O 0.3972 0.0128 0.1680
# Theoretical density = 3.300 Mg/m³
# Energy above the lowest structure with this stoichiometry = 0.068 eV per atom
# Magnetic moment = 16.00 μB per cell

---

# NaFeBO3, relaxed, DFT PBE+U
data_NaFeBO3
_space_group_name_H-M_alt 'P 1 21/c 1'
_space_group_IT_number 14
_cell_length_a 5.1180
_cell_length_b 9.0157
_cell_length_c 6.9054
_cell_angle_alpha 90.00
_cell_angle_beta 125.81
_cell_angle_gamma 90.00
loop_
_space_group_symop_operation_xyz
'x,y,z'
'-x,-y,-z'
'-x,y+1/2,-z+1/2'
'x,-y+1/2,z+1/2'
loop_
_atom_site_label
_atom_site_type_symbol
_atom_site_fract_x
_atom_site_fract_y
_atom_site_fract_z
Na1 Na 0.2503 0.1609 0.2499
Fe1 Fe 0.0000 0.0000 0.5000
Fe2 Fe 0.5000 0.0000 0.0000
B1 B 0.2499 0.6733 0.7500
O1 O 0.0214 0.0994 0.8036
O2 O 0.2496 0.6711 0.2502
O3 O 0.4789 0.0998 0.6974
# Theoretical density = 3.538 Mg/m³
# Magnetic moment = 0.00 μB per cell

---

# LiCoPO4, relaxed, DFT PBE+U
data_LiCoPO4
_space_group_name_H-M_alt 'P 1 21/c 1'
_space_group_IT_number 14
_cell_length_a 8.4953
_cell_length_b 7.5219
_cell_length_c 16.8823
_cell_angle_alpha 90.00
_cell_angle_beta 119.90
_cell_angle_gamma 90.00
loop_
_space_group_symop_operation_xyz
'x,y,z'
'-x,-y,-z'
'-x,y+1/2,-z+1/2'
'x,-y+1/2,z+1/2'
loop_
_atom_site_label
_atom_site_type_symbol
_atom_site_fract_x
_atom_site_fract_y
_atom_site_fract_z
Li1 Li 0.0129 0.1645 0.4162
Li2 Li 0.3148 0.1744 0.2400
Li3 Li 0.3366 0.6643 0.4054
Co1 Co 0.0029 0.5921 0.7481
Co2 Co 0.3170 0.0481 0.0740
Co3 Co 0.3456 0.0406 0.5857
P1 P 0.0389 0.7383 0.9303
P2 P 0.3245 0.7256 0.7286
P3 P 0.3614 0.2386 0.9124
O1 O 0.0690 0.2290 0.6768
O2 O 0.1036 0.2339 0.0383
O3 O 0.1397 0.5586 0.9655
O4 O 0.1482 0.2340 0.8601
O5 O 0.1808 0.6109 0.4611
O6 O 0.2176 0.7353 0.7826
O7 O 0.2615 0.6185 0.1603
O8 O 0.2725 0.5482 0.6750
O9 O 0.4200 0.2374 0.5157
O10 O 0.4224 0.1073 0.3736
O11 O 0.4321 0.0614 0.8958
O12 O 0.4703 0.2308 0.6972
# Theoretical density = 3.427 Mg/m³
# Energy above the lowest structure with this stoichiometry = 0.079 eV per atom
# Magnetic moment = 36.00 μB per cell

---

# UNi7B4O16, relaxed, DFT PBE+U
data_UNi7B4O16
_space_group_name_H-M_alt 'P n n m'
_space_group_IT_number 58
_cell_length_a 4.5405
_cell_length_b 20.4284
_cell_length_c 5.9036
_cell_angle_alpha 90.00
_cell_angle_beta 90.00
_cell_angle_gamma 90.00
loop_
_space_group_symop_operation_xyz
'x,y,z'
'-x,-y,-z'
'-x,-y,z'
'x,y,-z'
'x+1/2,-y+1/2,-z+1/2'
'-x+1/2,y+1/2,z+1/2'
'-x+1/2,y+1/2,-z+1/2'
'x+1/2,-y+1/2,z+1/2'
loop_
_atom_site_label
_atom_site_type_symbol
_atom_site_fract_x
_atom_site_fract_y
_atom_site_fract_z
U1 U 0.0000 0.0000 0.0000
Ni1 Ni 0.0004 0.2361 0.5000
Ni2 Ni 0.0000 0.5000 0.0000
Ni3 Ni 0.0027 0.3705 0.2516
B1 B 0.0417 0.8068 0.0000
B2 B 0.0671 0.0876 0.5000
O1 O 0.2023 0.7950 0.1988
O2 O 0.2047 0.0508 0.2944
O3 O 0.2099 0.4304 0.5000
O4 O 0.2187 0.1515 0.5000
O5 O 0.2473 0.9142 0.5000
O6 O 0.2485 0.6752 0.5000
# Theoretical density = 5.750 Mg/m³
# Magnetic moment = 28.00 μB per cell

---

# AlWO3, relaxed, DFT PBE+U
data_AlWO3
_space_group_name_H-M_alt 'P n m a'
_space_group_IT_number 62
_cell_length_a 5.9360
_cell_length_b 8.6903
_cell_length_c 4.8708
_cell_angle_alpha 90.00
_cell_angle_beta 90.00
_cell_angle_gamma 90.00
loop_
_space_group_symop_operation_xyz
'x,y,z'
'-x,-y,-z'
'-x+1/2,-y,z+1/2'
'x+1/2,y,-z+1/2'
'x+1/2,-y+1/2,-z+1/2'
'-x+1/2,y+1/2,z+1/2'
'-x,y+1/2,-z'
'x,-y+1/2,z'
loop_
_atom_site_label
_atom_site_type_symbol
_atom_site_fract_x
_atom_site_fract_y
_atom_site_fract_z
Al1 Al 0.1577 0.2500 0.0413
W1 W 0.0000 0.0000 0.5000
O1 O 0.0430 0.7500 0.6789
O2 O 0.1819 0.0833 0.8484
# Theoretical density = 6.842 Mg/m³
# Magnetic moment = 12.00 μB per cell

---

# LiV3F10, relaxed, DFT PBE+U
data_LiV3F10
_space_group_name_H-M_alt 'P m m a'
_space_group_IT_number 51
_cell_length_a 7.8836
_cell_length_b 7.4582
_cell_length_c 6.5642
_cell_angle_alpha 90.00
_cell_angle_beta 90.00
_cell_angle_gamma 90.00
loop_
_space_group_symop_operation_xyz
'x,y,z'
'-x,-y,-z'
'-x+1/2,-y,z'
'x+1/2,y,-z'
'x+1/2,-y,-z'
'-x+1/2,y,z'
'-x,y,-z'
'x,-y,z'
loop_
_atom_site_label
_atom_site_type_symbol
_atom_site_fract_x
_atom_site_fract_y
_atom_site_fract_z
Li1 Li 0.2500 0.0000 0.1828
V1 V 0.0000 0.2349 0.5000
V2 V 0.0000 0.5000 0.0000
F1 F 0.0000 0.5000 0.5000
F2 F 0.0289 0.3011 0.1986
F3 F 0.0504 0.0000 0.3339
F4 F 0.2500 0.2312 0.5478
F5 F 0.2500 0.5000 0.9613
# Theoretical density = 3.010 Mg/m³
# Energy above the lowest structure with this stoichiometry = 0.005 eV per atom
# Magnetic moment = 3.99 μB per cell

---

Computed energy relative to the elements (meV per atom) in order:
-2500; -2210; -2329; -2158; -2344; -3127